No. 1
Here is a geometry-optimized HoCoO3 structure from the Materials Project. Energies are from meta-GGA r2SCAN.

Cell: 5.4254 7.3334 5.1132 Å, 90.00 90.00 90.00°
Space group Pnma (No. 62)
One atom of each set of equivalent atoms:
Ho  0.0719  0.2500  0.0197 [4 per cell]
Co  0.0000  0.0000  0.5000 [4 per cell]
O  0.0297  0.7500  0.3984 [4 per cell]
O  0.1991  0.5509  0.8079 [8 per cell]

ΔE_f: -2657 meV/atom
spin magnetization: 0.00 μB/f.u.

***

No. 2
Here is a geometry-optimized HoCoSi structure from the Materials Project. Energies are from meta-GGA r2SCAN.

Cell: 6.8633 4.1898 6.8187 Å, 90.00 90.00 90.00°
Space group Pnma (No. 62)
One atom of each set of equivalent atoms:
Ho  0.0215  0.2500  0.1910 [4 per cell]
Co  0.1504  0.7500  0.4321 [4 per cell]
Si  0.1943  0.2500  0.6056 [4 per cell]

ΔE_f: -702 meV/atom
spin magnetization: 0.00 μB/f.u.

***

No. 3
Here is a geometry-optimized HoCo2Si2 structure from the Materials Project. Energies are from meta-GGA r2SCAN.

Cell: 3.8409 3.8409 9.6674 Å, 90.00 90.00 90.00°
Space group I4/mmm (No. 139)
One atom of each set of equivalent atoms:
Ho  0.0000  0.0000  0.0000 [2 per cell]
Co  0.0000  0.5000  0.2500 [4 per cell]
Si  0.0000  0.0000  0.3714 [4 per cell]

ΔE_f: -780 meV/atom
spin magnetization: 0.00 μB/f.u.

***

No. 4
Here is a geometry-optimized Ho2CoSi2 structure from the Materials Project. Energies are from meta-GGA r2SCAN.

Cell: 10.3031 4.1319 9.9111 Å, 90.00 119.13 90.00°
Space group C2/m (No. 12)
One atom of each set of equivalent atoms:
Ho  0.0012  0.0000  0.3280 [4 per cell]
Ho  0.1874  0.0000  0.1032 [4 per cell]
Co  0.2288  0.5000  0.3742 [4 per cell]
Si  0.0027  0.5000  0.8740 [4 per cell]
Si  0.1525  0.5000  0.5648 [4 per cell]

ΔE_f: -784 meV/atom
spin magnetization: 1.22 μB/f.u.